Below is a geometry-optimized La2HfO5 structure, with properties calculated at the PBE level.

Output
DFT formation energy: -3.91 eV/atom
ΔE to the lowest computed polymorph: 53 meV per atom
Space group: No. 15

Cell: 6.902 6.902 7.899 Å, 68.29 68.29 48.41°
Fractional coordinates of all 16 atoms:
O1 0.322 0.010 0.866
O2 0.760 0.389 0.033
O3 0.240 0.611 0.967
La1 0.657 0.631 0.731
O4 0.389 0.760 0.533
O5 0.843 0.157 0.750
La2 0.369 0.343 0.769
Hf1 0.000 0.000 0.000
La3 0.631 0.657 0.231
O6 0.678 0.990 0.134
O7 0.611 0.240 0.467
O8 0.157 0.843 0.250
La4 0.343 0.369 0.269
O9 0.010 0.322 0.366
Hf2 0.000 0.000 0.500
O10 0.990 0.678 0.634


Below is a geometry-optimized La2HfO5 structure, with properties calculated at the PBE level.

Output
DFT formation energy: -3.91 eV/atom
ΔE to the lowest computed polymorph: 52 meV per atom
Space group: No. 63

Cell: 6.370 6.370 11.195 Å, 90.00 90.00 141.24°
Fractional coordinates of all 16 atoms:
O1 0.283 0.717 0.597
O2 0.283 0.717 0.250
O3 0.949 0.051 0.380
Hf1 0.170 0.830 0.750
O4 0.051 0.949 0.620
Hf2 0.830 0.170 0.250
O5 0.283 0.717 0.903
O6 0.051 0.949 0.880
O7 0.717 0.283 0.097
La1 0.138 0.862 0.429
La2 0.862 0.138 0.929
O8 0.717 0.283 0.750
La3 0.138 0.862 0.071
La4 0.862 0.138 0.571
O9 0.717 0.283 0.403
O10 0.949 0.051 0.120


Below is a geometry-optimized La2HfO5 structure, with properties calculated at the PBE level.

Output
DFT formation energy: -3.97 eV/atom
ΔE to the lowest computed polymorph: 0 meV per atom
Space group: No. 62

Cell: 3.971 11.330 11.856 Å, 90.00 90.00 90.00°
Fractional coordinates of all 32 atoms:
O1 0.750 0.723 0.227
La1 0.750 0.398 0.782
Hf1 0.250 0.191 0.624
La2 0.250 0.632 0.563
O2 0.250 0.994 0.101
O3 0.250 0.526 0.829
O4 0.750 0.223 0.273
O5 0.250 0.777 0.727
O6 0.250 0.254 0.120
La3 0.750 0.868 0.063
O7 0.750 0.506 0.601
La4 0.250 0.102 0.282
O8 0.250 0.731 0.043
O9 0.750 0.769 0.543
La5 0.750 0.368 0.437
Hf2 0.250 0.691 0.876
O10 0.750 0.269 0.957
O11 0.750 0.474 0.171
O12 0.750 0.006 0.899
O13 0.250 0.754 0.380
O14 0.250 0.494 0.399
O15 0.750 0.246 0.620
O16 0.250 0.026 0.671
O17 0.250 0.231 0.457
La6 0.750 0.898 0.718
O18 0.750 0.974 0.329
O19 0.750 0.746 0.880
La7 0.250 0.602 0.218
O20 0.250 0.277 0.773
La8 0.250 0.132 0.937
Hf3 0.750 0.309 0.124
Hf4 0.750 0.809 0.376


Below is a geometry-optimized La3HfSb5 structure, with properties calculated at the PBE level.

Output
DFT formation energy: -1.14 eV/atom
Space group: No. 193

Cell: 9.648 9.648 6.401 Å, 90.00 90.00 120.00°
Fractional coordinates of all 18 atoms:
Sb1 0.667 0.333 0.500
Sb2 0.258 0.258 0.750
La1 0.000 0.382 0.750
Sb3 0.742 0.000 0.750
Sb4 0.333 0.667 0.000
Sb5 0.667 0.333 0.000
La2 0.618 0.000 0.250
La3 0.382 0.000 0.750
La4 0.000 0.618 0.250
Sb6 0.258 0.000 0.250
Sb7 0.742 0.742 0.250
Sb8 0.000 0.742 0.750
La5 0.382 0.382 0.250
Sb9 0.000 0.258 0.250
Hf1 0.000 0.000 0.000
La6 0.618 0.618 0.750
Sb10 0.333 0.667 0.500
Hf2 0.000 0.000 0.500


Below is a geometry-optimized Li8Hf3 structure, with properties calculated at the PBE level.

Output
DFT formation energy: 1.05 eV/atom
Space group: No. 229

Cell: 9.182 9.182 9.182 Å, 109.47 109.47 109.47°
Fractional coordinates of all 22 atoms:
Li1 0.807 0.000 0.193
Li2 0.000 0.000 0.500
Hf1 0.614 0.614 0.000
Li3 0.807 0.615 0.807
Hf2 0.000 0.386 0.386
Li4 0.000 0.807 0.193
Hf3 0.386 0.000 0.386
Hf4 0.614 0.000 0.614
Li5 0.615 0.807 0.807
Li6 0.193 0.193 0.385
Li7 0.807 0.193 0.000
Hf5 0.000 0.614 0.614
Li8 0.193 0.807 0.000
Li9 0.193 0.000 0.807
Li10 0.000 0.500 0.000
Li11 0.807 0.807 0.615
Hf6 0.386 0.386 0.000
Li12 0.193 0.385 0.193
Li13 0.000 0.193 0.807
Li14 0.385 0.193 0.193
Li15 0.500 0.000 0.000
Li16 0.500 0.500 0.500


Below is a geometry-optimized Li2HfN2 structure, with properties calculated at the PBE level.

Output
DFT formation energy: -1.34 eV/atom
Space group: No. 164

Cell: 3.260 3.260 5.478 Å, 90.00 90.00 120.00°
Fractional coordinates of all 5 atoms:
Hf1 0.000 0.000 0.000
N1 0.333 0.667 0.220
N2 0.667 0.333 0.780
Li1 0.333 0.667 0.618
Li2 0.667 0.333 0.382


Below is a geometry-optimized LiHf8N8O4 structure, with properties calculated at the PBE level.

Output
DFT formation energy: -2.16 eV/atom
ΔE to the lowest computed polymorph: 3 meV per atom
Space group: No. 1

Cell: 5.446 5.464 10.523 Å, 89.99 76.12 59.38°
Fractional coordinates of all 21 atoms:
N1 0.757 0.404 0.378
Hf1 0.134 0.409 0.274
Hf2 0.358 0.809 0.459
Li1 0.025 0.971 0.998
O1 0.065 0.786 0.372
N2 0.244 0.556 0.623
N3 0.450 0.105 0.372
O2 0.564 0.851 0.617
Hf3 0.654 0.669 0.034
N4 0.958 0.165 0.617
Hf4 0.629 0.183 0.534
O3 0.064 0.288 0.876
N5 0.582 0.335 0.112
Hf5 0.141 0.894 0.757
Hf6 0.379 0.322 0.959
Hf7 0.816 0.076 0.238
N6 0.769 0.904 0.877
N7 0.449 0.627 0.873
Hf8 0.846 0.552 0.720
O4 0.248 0.040 0.125
N8 0.973 0.657 0.118


Below is a geometry-optimized LiHf8N8O4 structure, with properties calculated at the PBE level.

Output
DFT formation energy: -2.17 eV/atom
ΔE to the lowest computed polymorph: 0 meV per atom
Space group: No. 1

Cell: 5.605 5.448 10.889 Å, 87.55 70.03 58.61°
Fractional coordinates of all 21 atoms:
Hf1 0.257 0.835 0.462
O1 0.209 0.083 0.134
N1 0.070 0.200 0.625
N2 0.765 0.951 0.890
N3 0.921 0.685 0.130
O2 0.973 0.825 0.384
N4 0.394 0.114 0.358
Li1 0.729 0.490 0.559
O3 0.629 0.863 0.640
Hf2 0.627 0.707 0.045
Hf3 0.875 0.607 0.747
Hf4 0.165 0.938 0.782
N5 0.511 0.402 0.126
Hf5 0.780 0.109 0.217
N6 0.685 0.427 0.381
N7 0.278 0.600 0.634
Hf6 0.079 0.439 0.277
O4 0.066 0.338 0.889
Hf7 0.359 0.369 0.969
N8 0.460 0.656 0.882
Hf8 0.499 0.178 0.520


Below is a geometry-optimized LiHf8N8O4 structure, with properties calculated at the PBE level.

Output
DFT formation energy: -2.15 eV/atom
ΔE to the lowest computed polymorph: 18 meV per atom
Space group: No. 1

Cell: 5.878 5.835 10.873 Å, 74.80 57.74 59.34°
Fractional coordinates of all 21 atoms:
N1 0.410 0.355 0.137
Hf1 0.157 0.987 0.748
Hf2 0.807 0.989 0.095
Hf3 0.856 0.668 0.726
O1 0.146 0.005 0.101
N2 0.005 0.326 0.618
N3 0.597 0.001 0.326
Hf4 0.533 0.673 0.377
O2 0.187 0.698 0.372
Hf5 0.263 0.338 0.006
Hf6 0.206 0.345 0.378
N4 0.792 0.622 0.137
Hf7 0.605 0.348 0.652
N5 0.273 0.700 0.618
Hf8 0.553 0.660 0.037
Li1 0.912 0.021 0.336
N6 0.831 0.330 0.424
N7 0.728 0.986 0.896
N8 0.391 0.632 0.863
O3 0.991 0.364 0.882
O4 0.577 0.007 0.665


Below is a geometry-optimized LiHf8N8O4 structure, with properties calculated at the PBE level.

Output
DFT formation energy: -2.17 eV/atom
ΔE to the lowest computed polymorph: 0 meV per atom
Space group: No. 1

Cell: 5.484 5.460 10.546 Å, 90.83 76.23 58.97°
Fractional coordinates of all 21 atoms:
Hf1 0.356 0.352 0.960
O1 0.236 0.058 0.134
N1 0.549 0.368 0.120
N2 0.452 0.128 0.376
O2 0.047 0.319 0.880
Hf2 0.120 0.921 0.780
Hf3 0.818 0.090 0.224
N3 0.245 0.573 0.629
Hf4 0.828 0.586 0.741
O3 0.592 0.857 0.613
N4 0.949 0.676 0.122
N5 0.973 0.182 0.621
Hf5 0.632 0.685 0.039
Hf6 0.644 0.199 0.537
N6 0.443 0.641 0.875
N7 0.771 0.413 0.383
Hf7 0.363 0.830 0.464
Hf8 0.143 0.422 0.259
O4 0.073 0.788 0.379
N8 0.743 0.934 0.881
Li1 0.042 0.473 0.501


Below is a geometry-optimized Li8HfO6 structure, with properties calculated at the PBE level.

Output
DFT formation energy: -2.45 eV/atom
ΔE to the lowest computed polymorph: 61 meV per atom
Space group: No. 185

Cell: 5.723 5.723 10.911 Å, 90.00 90.00 120.00°
Fractional coordinates of all 30 atoms:
O1 0.000 0.000 0.177
O2 0.329 0.000 0.449
Li1 0.409 0.000 0.627
O3 0.000 0.329 0.449
O4 0.000 0.000 0.677
Li2 0.000 0.322 0.268
O5 0.667 0.333 0.713
O6 0.329 0.329 0.949
Li3 0.333 0.667 0.407
Li4 0.591 0.000 0.127
Li5 0.333 0.667 0.907
Li6 0.667 0.333 0.407
Li7 0.409 0.409 0.127
O7 0.000 0.671 0.949
Li8 0.678 0.000 0.768
Hf1 0.000 0.000 0.496
Hf2 0.000 0.000 0.996
O8 0.667 0.333 0.213
O9 0.671 0.000 0.949
Li9 0.678 0.678 0.268
O10 0.333 0.667 0.213
Li10 0.000 0.591 0.127
O11 0.333 0.667 0.713
Li11 0.322 0.000 0.268
Li12 0.591 0.591 0.627
Li13 0.322 0.322 0.768
Li14 0.000 0.678 0.768
O12 0.671 0.671 0.449
Li15 0.667 0.333 0.907
Li16 0.000 0.409 0.627


Below is a geometry-optimized Li3HfO3 structure, with properties calculated at the PBE level.

Output
DFT formation energy: -2.64 eV/atom
Space group: No. 136

Cell: 9.600 9.600 3.455 Å, 90.00 90.00 90.00°
Fractional coordinates of all 28 atoms:
Li1 0.914 0.644 0.500
Hf1 0.619 0.619 0.000
O1 0.615 0.827 0.000
O2 0.885 0.327 0.500
Li2 0.586 0.144 0.000
Hf2 0.381 0.381 0.000
O3 0.673 0.115 0.500
Li3 0.856 0.414 0.000
Hf3 0.119 0.881 0.500
Li4 0.644 0.914 0.500
Li5 0.356 0.086 0.500
O4 0.173 0.385 0.000
Li6 0.174 0.174 0.000
Li7 0.674 0.326 0.500
Li8 0.086 0.356 0.500
O5 0.602 0.398 0.000
Li9 0.326 0.674 0.500
Li10 0.414 0.856 0.000
O6 0.898 0.898 0.500
Li11 0.826 0.826 0.000
O7 0.115 0.673 0.500
O8 0.385 0.173 0.000
Li12 0.144 0.586 0.000
O9 0.102 0.102 0.500
O10 0.398 0.602 0.000
Hf4 0.881 0.119 0.500
O11 0.827 0.615 0.000
O12 0.327 0.885 0.500


Below is a geometry-optimized Li8HfO6 structure, with properties calculated at the PBE level.

Output
DFT formation energy: -2.51 eV/atom
ΔE to the lowest computed polymorph: 0 meV per atom
Space group: No. 148

Cell: 6.080 6.080 6.080 Å, 53.94 53.94 53.94°
Fractional coordinates of all 15 atoms:
Li1 0.897 0.234 0.505
Li2 0.495 0.103 0.766
Li3 0.505 0.897 0.234
O1 0.766 0.092 0.384
O2 0.616 0.234 0.908
Li4 0.766 0.495 0.103
Hf1 0.000 0.000 0.000
Li5 0.103 0.766 0.495
O3 0.908 0.616 0.234
O4 0.234 0.908 0.616
O5 0.384 0.766 0.092
Li6 0.655 0.655 0.655
Li7 0.345 0.345 0.345
Li8 0.234 0.505 0.897
O6 0.092 0.384 0.766


Below is a geometry-optimized Li4HfO4 structure, with properties calculated at the PBE level.

Output
DFT formation energy: -2.76 eV/atom
Space group: No. 63

Cell: 5.571 5.571 6.396 Å, 90.00 90.00 95.46°
Fractional coordinates of all 18 atoms:
Li1 0.843 0.157 0.000
O1 0.798 0.798 0.492
Li2 0.597 0.880 0.250
Hf1 0.346 0.346 0.250
Li3 0.880 0.597 0.250
Hf2 0.654 0.654 0.750
Li4 0.403 0.120 0.750
O2 0.798 0.798 0.008
O3 0.202 0.202 0.992
Li5 0.843 0.157 0.500
Li6 0.120 0.403 0.750
Li7 0.157 0.843 0.000
O4 0.274 0.686 0.250
O5 0.202 0.202 0.508
Li8 0.157 0.843 0.500
O6 0.314 0.726 0.750
O7 0.686 0.274 0.250
O8 0.726 0.314 0.750


Below is a geometry-optimized LiHfPt2 structure, with properties calculated at the PBE level.

Output
DFT formation energy: -0.94 eV/atom
Space group: No. 225

Cell: 4.518 4.518 4.518 Å, 60.00 60.00 60.00°
Fractional coordinates of all 4 atoms:
Pt1 0.250 0.250 0.250
Hf1 0.500 0.500 0.500
Li1 0.000 0.000 0.000
Pt2 0.750 0.750 0.750


Below is a geometry-optimized LiHf2Re structure, with properties calculated at the PBE level.

Output
DFT formation energy: -0.21 eV/atom
Space group: No. 225

Cell: 4.643 4.643 4.643 Å, 60.00 60.00 60.00°
Fractional coordinates of all 4 atoms:
Hf1 0.250 0.250 0.250
Re1 0.000 0.000 0.000
Li1 0.500 0.500 0.500
Hf2 0.750 0.750 0.750


Below is a geometry-optimized LiHfRh2 structure, with properties calculated at the PBE level.

Output
DFT formation energy: -0.73 eV/atom
Space group: No. 225

Cell: 4.415 4.415 4.415 Å, 60.00 60.00 60.00°
Fractional coordinates of all 4 atoms:
Rh1 0.250 0.250 0.250
Rh2 0.750 0.750 0.750
Hf1 0.500 0.500 0.500
Li1 0.000 0.000 0.000